LiFeF3, optimized geometry, DFT GGA+U; symmetry = No. 57; total energy = -26.412 eV/f.u.; energy above the lowest structure with this stoichiometry = 11 meV/atom; ΔE_f = -2.7864 eV per atom
1.0
-4.100 -0.930 -2.570
0.057 -6.090 2.114
-4.089 1.979 5.809
Li Fe F
4 4 12
Direct
0.468 0.750 0.755
0.532 0.750 0.255
0.468 0.250 0.745
0.532 0.250 0.245
0.000 0.500 0.000
0.000 0.500 0.500
0.000 0.000 0.000
0.000 0.000 0.500
0.244 0.750 0.432
0.244 0.250 0.068
0.232 0.000 0.750
0.232 0.500 0.750
0.252 0.750 0.066
0.252 0.250 0.434
0.748 0.750 0.566
0.748 0.250 0.934
0.768 0.500 0.250
0.768 0.000 0.250
0.756 0.750 0.932
0.756 0.250 0.568

LiFeF3, optimized geometry, DFT GGA+U; symmetry = No. 140; total energy = -25.690 eV/f.u.; energy above the lowest structure with this stoichiometry = 155 meV/atom; ΔE_f = -2.6419 eV per atom
1.0
0.645 -4.270 3.551
-0.856 3.550 4.233
-3.818 -0.378 -4.066
Li Fe F
2 2 6
Direct
0.250 0.750 0.500
0.750 0.250 0.500
0.000 0.000 0.000
0.500 0.500 0.000
0.839 0.661 0.500
0.661 0.161 0.822
0.339 0.839 0.178
0.161 0.339 0.500
0.250 0.250 0.000
0.750 0.750 0.000

LiFeF3, optimized geometry, DFT GGA+U; symmetry = No. 15; total energy = -26.304 eV/f.u.; energy above the lowest structure with this stoichiometry = 32 meV/atom; ΔE_f = -2.7647 eV per atom
1.0
3.914 5.842 0.000
-3.914 5.842 0.000
0.000 2.120 5.389
Li Fe F
4 4 12
Direct
0.932 0.068 0.250
0.308 0.692 0.250
0.068 0.932 0.750
0.692 0.308 0.750
0.833 0.661 0.187
0.661 0.833 0.687
0.339 0.167 0.313
0.167 0.339 0.813
0.062 0.791 0.115
0.791 0.062 0.615
0.027 0.346 0.215
0.583 0.682 0.060
0.346 0.027 0.715
0.682 0.583 0.560
0.318 0.417 0.440
0.654 0.973 0.285
0.417 0.318 0.940
0.973 0.654 0.785
0.209 0.938 0.385
0.938 0.209 0.885

LiFeF3, optimized geometry, DFT GGA+U; symmetry = No. 15; total energy = -26.283 eV/f.u.; energy above the lowest structure with this stoichiometry = 36 meV/atom; ΔE_f = -2.7606 eV per atom
1.0
-6.571 2.673 0.062
-2.427 -2.366 -6.232
-3.484 -4.369 1.204
Li Fe F
4 4 12
Direct
0.794 0.620 0.294
0.620 0.794 0.794
0.380 0.206 0.206
0.206 0.380 0.706
0.914 0.086 0.250
0.294 0.706 0.250
0.706 0.294 0.750
0.086 0.914 0.750
0.992 0.805 0.165
0.805 0.992 0.665
0.866 0.339 0.362
0.589 0.694 0.139
0.339 0.866 0.862
0.694 0.589 0.639
0.306 0.411 0.361
0.661 0.134 0.138
0.411 0.306 0.861
0.134 0.661 0.638
0.195 0.008 0.335
0.008 0.195 0.835

LiFe2F5, optimized geometry, DFT GGA+U; symmetry = No. 15; total energy = -42.899 eV/f.u.; energy above the lowest structure with this stoichiometry = 30 meV/atom; ΔE_f = -2.6624 eV per atom
1.0
3.399 7.079 0.000
-3.399 7.079 0.000
0.000 4.635 8.889
Li Fe F
4 8 20
Direct
0.705 0.926 0.313
0.074 0.295 0.187
0.926 0.705 0.813
0.295 0.074 0.687
0.774 0.525 0.634
0.154 0.731 0.003
0.269 0.846 0.497
0.525 0.774 0.134
0.475 0.226 0.866
0.731 0.154 0.503
0.846 0.269 0.997
0.226 0.475 0.366
0.892 0.964 0.133
0.115 0.284 0.548
0.434 0.808 0.625
0.157 0.469 0.197
0.531 0.843 0.303
0.614 0.338 0.905
0.662 0.386 0.595
0.036 0.108 0.367
0.284 0.115 0.048
0.192 0.566 0.875
0.808 0.434 0.125
0.716 0.885 0.952
0.964 0.892 0.633
0.338 0.614 0.405
0.386 0.662 0.095
0.469 0.157 0.697
0.843 0.531 0.803
0.566 0.192 0.375
0.885 0.716 0.452
0.108 0.036 0.867

LiFeF3, optimized geometry, DFT GGA+U; symmetry = No. 198; total energy = -26.299 eV/f.u.; energy above the lowest structure with this stoichiometry = 33 meV/atom; ΔE_f = -2.7637 eV per atom
1.0
6.133 0.000 0.000
0.000 6.133 0.000
0.000 0.000 6.133
Li Fe F
4 4 12
Direct
0.878 0.878 0.878
0.122 0.378 0.622
0.622 0.122 0.378
0.378 0.622 0.122
0.162 0.162 0.162
0.338 0.838 0.662
0.662 0.338 0.838
0.838 0.662 0.338
0.013 0.735 0.620
0.265 0.120 0.487
0.120 0.487 0.265
0.380 0.513 0.765
0.235 0.880 0.987
0.487 0.265 0.120
0.513 0.765 0.380
0.765 0.380 0.513
0.620 0.013 0.735
0.880 0.987 0.235
0.735 0.620 0.013
0.987 0.235 0.880

Q: Which formula does entry 4 have?
A: LiFeF3